1.
# Na10Zn8SiS11O48

A relaxed structure of Na10Zn8SiS11O48 (GGA-PBE, the Materials Project).

Properties
As for the space group: No. 1.

Structure (extended XYZ):
```
234
Lattice="-7.516 -12.620 10.187 0.916 -1.309 -8.788 20.091 -9.328 3.403" Properties=species:S:1:pos:R:3 pbc="T T T"
Na -0.268 -13.934 0.469
Na 0.214 -11.478 4.543
Na -1.831 -15.762 5.393
Na 1.859 -9.454 0.385
Na 13.214 -11.832 0.098
Na 9.461 -18.137 5.193
Na 7.967 -20.035 9.584
Na 11.727 -13.724 4.493
Na 14.575 -10.671 -4.326
Na 10.822 -16.978 0.768
Na 10.165 -10.972 -3.093
Na 6.436 -17.281 2.000
Na 1.414 -3.972 -6.702
Na -3.853 -12.280 2.625
Na 15.733 -12.994 6.394
Na 11.954 -19.281 11.482
Na 7.140 -6.038 2.827
Na 2.497 -15.451 4.176
Na 10.053 -4.763 1.638
Na 7.132 -12.339 -1.925
Na 20.022 -9.408 3.334
Na -2.856 -7.691 -3.615
Na 14.573 -12.444 3.303
Na 10.811 -18.740 8.399
Na 4.506 -7.769 1.582
Na 0.759 -14.072 6.706
Na 2.642 -4.627 -3.435
Na -1.072 -10.798 1.490
Na 12.719 -9.183 -1.887
Na 8.965 -15.481 3.201
Zn 0.329 -17.096 2.555
Zn 4.235 -10.840 -2.495
Zn 9.523 -20.497 13.018
Zn 13.287 -14.190 7.922
Zn 6.536 -19.970 3.612
Zn 10.290 -13.654 -1.482
Zn -4.355 -14.044 10.639
Zn 0.170 -8.952 -3.196
Zn 11.444 -10.990 2.870
Zn 7.692 -17.293 7.971
Zn 1.433 -6.295 1.068
Zn -2.314 -12.667 6.090
Zn 17.608 -13.897 3.747
Zn 13.838 -20.117 8.877
Zn 7.482 -9.246 2.056
Zn 3.817 -15.447 7.249
Zn -0.357 -3.108 -4.022
Zn -4.023 -9.330 0.936
Zn 9.697 -7.745 -2.321
Zn 5.968 -13.982 2.678
Zn 5.716 -6.034 -3.012
Zn 1.993 -12.311 2.065
Zn 15.798 -10.710 -1.388
Zn 12.047 -17.011 3.698
Si -0.721 -13.984 3.352
Si 12.433 -11.421 6.124
Si 9.592 -19.039 2.432
S 3.891 -4.245 2.370
S 1.092 -11.772 -1.365
S 3.016 -7.702 -1.761
S 5.275 -2.765 -1.758
S 1.550 -8.978 3.378
S 14.229 -9.230 1.473
S 10.470 -15.540 6.565
S 15.718 -7.926 -3.659
S 11.959 -14.236 1.435
S 8.383 -11.976 3.945
S 4.623 -18.287 9.033
S 10.352 -7.781 3.532
S 6.622 -14.099 8.631
S 9.794 -10.470 -0.126
S 6.010 -16.768 4.959
S -1.341 -7.699 -0.347
S -5.160 -14.003 4.776
S -0.827 -5.025 3.343
S -4.570 -11.340 8.420
S 0.598 -3.554 -0.754
S -3.166 -9.833 4.335
S 16.663 -13.401 0.506
S 12.939 -19.719 5.600
S 18.608 -9.288 0.036
S 14.846 -15.598 5.136
S 18.086 -11.909 -3.676
S 14.304 -18.209 1.418
S 6.916 -9.131 -3.827
S 3.162 -15.451 1.225
S 7.453 -6.462 -0.131
S 3.715 -12.773 4.980
S 8.834 -5.007 -4.221
S 5.044 -11.293 0.832
O 5.315 -4.293 1.937
O 1.567 -10.525 6.921
O 3.749 -8.995 -1.713
O 0.099 -15.402 3.465
O 2.634 -9.218 4.350
O -1.149 -15.568 9.408
O 15.479 -9.124 2.259
O 11.719 -15.436 7.353
O 13.212 -14.682 0.789
O 9.456 -20.988 5.882
O 13.219 -12.784 6.582
O 9.463 -19.094 11.679
O 11.811 -12.623 -2.108
O 8.053 -18.932 2.987
O 13.471 -7.960 1.451
O 9.712 -14.272 6.543
O 14.598 -7.814 -4.622
O 10.841 -14.122 0.472
O 1.721 -7.830 -2.461
O -2.128 -14.097 2.512
O 4.001 -2.361 -1.138
O 0.285 -8.581 4.041
O 4.104 -4.328 -6.913
O 0.386 -10.568 -1.857
O 9.819 -12.066 3.545
O 6.060 -18.370 8.638
O 11.114 -9.071 3.565
O 7.402 -15.381 8.690
O 10.910 -10.726 0.828
O 7.100 -17.022 5.940
O -0.017 -7.598 0.343
O -3.837 -13.925 5.448
O 0.418 -5.430 2.640
O -3.312 -11.831 7.791
O 1.318 -4.753 -0.264
O -2.422 -11.049 4.808
O -0.805 -3.515 -0.253
O -4.568 -9.849 4.792
O -2.082 -6.421 -0.334
O -5.846 -12.694 4.767
O -1.940 -4.776 2.383
O -5.644 -11.077 7.430
O 9.038 -7.933 2.850
O 5.337 -14.280 7.929
O 8.585 -9.966 0.540
O 4.770 -16.263 5.599
O 7.759 -10.728 3.441
O 3.992 -17.045 8.524
O 18.051 -13.381 -0.022
O 14.350 -19.716 5.115
O 19.364 -10.549 -0.015
O 15.590 -16.864 5.097
O 19.172 -12.140 -2.682
O 15.353 -18.428 2.432
O 8.237 -9.022 -3.142
O 4.453 -15.276 1.959
O 8.709 -6.911 -0.760
O 4.934 -13.241 4.293
O 9.486 -6.224 -3.693
O 5.737 -12.493 1.345
O 7.399 -4.938 -3.839
O 3.606 -11.248 1.248
O 6.215 -7.818 -3.862
O 2.360 -14.196 1.211
O 6.369 -6.249 -1.110
O 2.581 -12.580 4.018
O 17.277 -9.392 -0.624
O 13.516 -15.698 4.467
O 16.815 -11.472 -3.012
O 13.009 -17.782 2.047
O 15.885 -12.220 0.026
O 12.179 -18.539 5.099
O 8.989 -5.112 -5.719
O 5.170 -11.343 -0.654
O 6.150 -10.189 -3.131
O 2.439 -16.522 1.985
O 7.771 -5.203 0.631
O 4.035 -11.526 5.708
O 18.484 -8.918 1.484
O 14.719 -15.222 6.579
O 18.564 -10.903 -4.650
O 14.791 -17.212 0.441
O 16.079 -14.669 -0.030
O 12.350 -20.985 5.055
O 8.258 -11.889 5.434
O 4.498 -18.193 10.524
O 11.113 -6.718 2.835
O 7.376 -13.031 7.941
O 9.398 -11.705 -0.872
O 5.621 -18.011 4.218
O -1.170 -8.078 -1.779
O -5.001 -14.383 3.326
O -1.304 -6.030 4.319
O -5.133 -12.330 9.395
O 1.219 -2.300 -0.192
O -2.540 -8.583 4.820
O 12.566 -11.468 4.466
O 8.811 -17.784 9.564
O 13.459 -10.344 2.105
O 9.699 -16.657 7.195
O 12.288 -12.936 2.102
O 8.527 -19.243 7.192
O 2.805 -7.348 -0.311
O -0.921 -13.553 4.944
O 2.039 -7.993 2.366
O -1.727 -14.314 7.498
O 3.251 -5.491 1.886
O -0.476 -11.738 6.987
O 16.589 -13.362 1.986
O 12.828 -19.683 7.079
O 15.585 -14.482 4.444
O 11.828 -20.787 9.539
O 16.800 -11.895 4.446
O 13.026 -18.204 9.539
O 6.200 -8.163 3.511
O 2.439 -14.538 8.596
O 6.941 -7.459 0.876
O 3.192 -13.837 5.912
O 5.659 -10.035 1.356
O 1.963 -16.354 6.407
O 0.689 -3.569 -2.234
O -3.091 -9.943 2.837
O 1.597 -2.477 -4.740
O -2.085 -8.772 0.381
O 0.460 -5.046 -4.751
O -3.304 -11.406 0.402
O 11.059 -8.762 -3.803
O 7.301 -15.080 1.293
O 10.323 -9.484 -1.140
O 6.545 -15.790 3.950
O 11.507 -6.909 -1.660
O 7.749 -13.217 3.435
O 4.734 -5.442 -4.921
O 1.012 -11.708 0.129
O 3.776 -6.627 -2.452
O 0.095 -12.786 2.541
O 4.998 -3.989 -2.568
O 1.210 -10.245 2.628
O 14.473 -9.579 0.038
O 10.715 -15.894 5.132
O 15.245 -8.885 -2.615
O 11.482 -15.195 2.479
O 14.030 -11.318 -2.106
O 10.271 -17.630 2.996
```

***

2.
# Na4Zn2SiS2O12

A relaxed structure of Na4Zn2SiS2O12 (GGA-PBE, the Materials Project).

Properties
As for the space group: No. 9.

Structure (extended XYZ):
```
126
Lattice="9.153 0.000 0.000 -4.577 7.937 0.004 0.000 0.011 22.126" Properties=species:S:1:pos:R:3 pbc="T T T"
Na 1.102 7.933 5.641
Na 1.713 2.801 5.578
Na -2.863 5.102 5.356
Na 2.863 5.108 16.420
Na 7.441 2.807 16.641
Na -1.102 7.938 16.704
Na 1.293 2.722 12.968
Na -2.991 5.531 12.849
Na 1.755 7.552 12.917
Na -1.755 7.546 1.854
Na 2.991 5.526 1.786
Na -1.293 2.716 1.905
Na 5.847 5.384 20.454
Na 6.157 0.271 20.122
Na 1.721 2.314 20.280
Na 7.432 2.309 9.217
Na 2.996 0.266 9.059
Na 3.307 5.379 9.391
Na 4.454 7.848 11.059
Na -4.454 7.853 22.122
Na 4.592 2.510 18.442
Na 4.561 2.504 7.379
Na -0.148 5.355 3.695
Na 0.148 5.360 14.758
Zn 0.016 0.025 7.673
Zn 9.137 0.030 18.736
Zn 4.422 7.734 14.425
Zn -4.422 7.729 3.362
Zn 4.581 2.618 15.064
Zn 4.572 2.612 4.001
Zn 4.558 2.638 21.824
Zn 4.596 2.633 10.760
Zn -0.285 5.361 0.313
Zn 0.285 5.366 11.376
Zn -0.074 5.568 7.089
Zn 0.074 5.573 18.152
Si 2.731 0.030 5.541
Si 6.422 0.035 16.605
Si 3.257 4.941 12.908
Si 5.896 4.936 1.844
Si -1.414 7.747 20.293
Si 1.414 7.741 9.230
S 3.200 5.577 5.544
S -1.337 2.347 5.528
S 1.337 2.352 16.591
S -3.200 5.583 16.608
S 7.332 2.678 12.899
S 3.180 0.279 12.919
S 5.973 0.273 1.855
S 1.821 2.673 1.836
S 2.674 5.279 20.301
S -1.317 2.971 20.263
S 1.317 2.966 9.199
S -2.674 5.273 9.237
O 1.801 0.302 6.874
O 3.782 6.221 6.748
O 8.051 1.521 6.742
O 1.102 1.526 17.806
O 5.372 6.227 17.811
O 7.352 0.307 17.937
O 2.734 7.715 15.267
O 0.789 1.697 15.372
O -3.395 6.435 15.395
O 3.395 6.429 4.332
O -0.789 1.692 4.309
O -2.734 7.710 4.204
O 6.500 2.856 14.121
O 3.830 0.879 14.116
O 3.512 4.028 14.248
O 5.641 4.022 3.185
O 5.323 0.874 3.053
O 2.653 2.850 3.057
O 2.668 2.413 0.640
O 5.235 4.259 0.500
O 5.719 1.083 0.635
O 3.434 1.088 11.698
O 3.918 4.264 11.564
O 6.485 2.418 11.703
O 1.825 5.435 21.512
O -0.720 3.585 21.487
O -1.222 6.813 21.619
O 1.222 6.808 10.555
O 0.719 3.579 10.424
O -1.825 5.429 10.449
O -1.841 5.058 8.018
O 0.698 7.116 7.903
O 1.021 3.782 7.992
O -1.021 3.787 19.055
O -0.698 7.121 18.967
O 1.841 5.063 19.081
O -3.516 6.508 9.146
O 3.070 7.865 9.075
O 0.724 1.600 9.148
O -0.724 1.605 20.211
O -3.070 7.870 20.138
O 3.516 6.513 20.210
O 8.256 1.507 13.001
O 1.693 0.211 13.062
O 3.963 6.454 12.938
O 5.190 6.449 1.875
O 7.460 0.206 1.999
O 0.897 1.502 1.937
O 5.448 1.392 16.477
O 2.822 2.524 16.532
O 5.289 4.251 16.497
O 3.864 4.246 5.434
O 6.332 2.518 5.469
O 3.705 1.387 5.413
O 3.562 4.085 20.356
O 6.349 2.857 20.347
O 3.891 1.307 20.440
O 5.262 1.302 9.377
O 2.805 2.851 9.284
O 5.591 4.080 9.293
O 1.024 3.926 1.698
O -1.595 5.086 1.816
O 0.846 6.825 1.747
O -0.846 6.830 12.811
O 1.595 5.091 12.879
O -1.024 3.932 12.762
O -0.926 6.579 5.595
O 1.725 5.369 5.645
O -0.679 3.684 5.639
O 0.679 3.690 16.702
O -1.725 5.374 16.708
O 0.925 6.584 16.658
```

***

Number 1: energy of formation -2.024 eV per atom. Number 2: energy of formation -2.162 eV per atom.